DFT (PBE) results for a relaxed Nb16N9 crystal.

Results
Symmetry: Immm
ΔH_f (0 K) in kcal/mol of atoms: -20.76
Uncorrected energy in eV/atom: -10.2363
Crystal system: orthorhombic

a b c (Å): 8.210 8.210 8.210
angles (deg): 136.20 114.50 82.16
Element x y z (fractional)
Nb 0.378 0.632 0.254
Nb 0.378 0.123 0.746
Nb 0.756 0.000 0.756
Nb 0.622 0.368 0.746
Nb 0.622 0.877 0.254
Nb 0.997 0.748 0.249
Nb 0.872 0.127 0.254
Nb 0.003 0.252 0.751
Nb 0.872 0.618 0.746
Nb 0.249 0.500 0.749
Nb 0.128 0.873 0.746
Nb 0.244 0.000 0.244
Nb 0.128 0.382 0.254
Nb 0.501 0.252 0.249
Nb 0.499 0.748 0.751
Nb 0.751 0.500 0.251
N 0.874 0.375 0.999
N 0.874 0.876 0.500
N 0.126 0.124 0.500
N 0.126 0.625 0.001
N 0.376 0.876 0.001
N 0.376 0.375 0.500
N 0.624 0.625 0.500
N 0.624 0.124 0.999
N 0.000 0.000 0.000